# Sr2HoTaO6 | Materials Project | PBE | relaxed
data_Sr2HoTaO6
_chemical_formula_sum 'Sr4 Ho2 Ta2 O12'
_cell_length_a 5.825
_cell_length_b 5.952
_cell_length_c 10.136
_cell_angle_alpha 90.00
_cell_angle_beta 124.94
_cell_angle_gamma 90.00
_space_group_name_H-M_alt 'P 1 21/c 1'
_space_group_IT_number 14
_space_group_name_Hall '-P 2ybc'
loop_
_atom_site_label
_atom_site_type_symbol
_atom_site_fract_x
_atom_site_fract_y
_atom_site_fract_z
Sr1 Sr 0.241 0.042 0.252
Ho1 Ho 0.500 0.000 0.000
Ta1 Ta 0.000 0.000 0.500
O1 O 0.151 0.226 0.954
O2 O 0.236 0.698 0.961
O3 O 0.315 0.025 0.735
# mass density: 7.12 g cm⁻³

***

# LuFe5P3 | Materials Project | PBE | relaxed
data_LuFe5P3
_chemical_formula_sum 'Lu4 Fe20 P12'
_cell_length_a 11.748
_cell_length_b 3.631
_cell_length_c 10.215
_cell_angle_alpha 90.00
_cell_angle_beta 90.00
_cell_angle_gamma 90.00
_space_group_name_H-M_alt 'P n m a'
_space_group_IT_number 62
_space_group_name_Hall '-P 2ac 2n'
loop_
_atom_site_label
_atom_site_type_symbol
_atom_site_fract_x
_atom_site_fract_y
_atom_site_fract_z
Lu1 Lu 0.205 0.250 0.082
Fe1 Fe 0.010 0.750 0.094
Fe2 Fe 0.013 0.750 0.708
Fe3 Fe 0.067 0.750 0.463
Fe4 Fe 0.177 0.250 0.781
Fe5 Fe 0.200 0.250 0.377
P1 P 0.106 0.750 0.900
P2 P 0.114 0.250 0.579
P3 P 0.129 0.750 0.265
# mass density: 8.34 g cm⁻³

***

# HgTeO3F | Materials Project | PBE | relaxed
data_HgTeO3F
_chemical_formula_sum 'Hg4 Te4 O12 F4'
_cell_length_a 8.087
_cell_length_b 7.912
_cell_length_c 6.259
_cell_angle_alpha 90.00
_cell_angle_beta 90.00
_cell_angle_gamma 90.00
_space_group_name_H-M_alt 'P c a 21'
_space_group_IT_number 29
_space_group_name_Hall 'P 2c -2ac'
loop_
_atom_site_label
_atom_site_type_symbol
_atom_site_fract_x
_atom_site_fract_y
_atom_site_fract_z
Hg1 Hg 0.140 0.115 0.000
Te1 Te 0.114 0.693 0.155
O1 O 0.113 0.295 0.768
O2 O 0.174 0.922 0.220
O3 O 0.213 0.618 0.440
F1 F 0.003 0.235 0.386
# mass density: 6.55 g cm⁻³

***

# LuB4Ru | Materials Project | PBE | relaxed
data_LuB4Ru
_chemical_formula_sum 'Lu4 B16 Ru4'
_cell_length_a 5.910
_cell_length_b 11.418
_cell_length_c 3.520
_cell_angle_alpha 90.00
_cell_angle_beta 90.00
_cell_angle_gamma 90.00
_space_group_name_H-M_alt 'P b a m'
_space_group_IT_number 55
_space_group_name_Hall '-P 2 2ab'
loop_
_atom_site_label
_atom_site_type_symbol
_atom_site_fract_x
_atom_site_fract_y
_atom_site_fract_z
Lu1 Lu 0.130 0.150 0.000
B1 B 0.023 0.693 0.500
B2 B 0.113 0.547 0.500
B3 B 0.135 0.970 0.500
B4 B 0.209 0.814 0.500
Ru1 Ru 0.142 0.407 0.000
# mass density: 8.93 g cm⁻³

***

Per-record formation energy, eV/atom: -3.6121, -0.7523, -1.2935, -0.6547